A plane-wave DFT calculation with GGA+U was carried out for a relaxed structure of MnPO4.

**DFT total energy**: -7.31 eV per atom
**Energy of formation**: -2.32 eV/atom

a = 17.6283 Å, b = 10.3903 Å, c = 17.7174 Å
α = 90.00°, β = 108.26°, γ = 90.00°
Space group Cc (No. 9)
Unique sites:
Mn  0.0000  0.0322  0.0000 (multiplicity 4)
Mn  0.0296  0.4336  0.5010 (multiplicity 4)
Mn  0.0308  0.3200  0.7488 (multiplicity 4)
Mn  0.0679  0.2172  0.2506 (multiplicity 4)
Mn  0.2477  0.2845  0.0004 (multiplicity 4)
Mn  0.2803  0.0693  0.7501 (multiplicity 4)
Mn  0.2805  0.1841  0.4996 (multiplicity 4)
Mn  0.3179  0.4628  0.2483 (multiplicity 4)
P  0.0047  0.0370  0.8114 (multiplicity 4)
P  0.1893  0.0312  0.0612 (multiplicity 4)
P  0.2175  0.4399  0.5610 (multiplicity 4)
P  0.2187  0.3236  0.8116 (multiplicity 4)
P  0.2538  0.2149  0.3129 (multiplicity 4)
P  0.4393  0.2814  0.0602 (multiplicity 4)
P  0.4667  0.0704  0.8135 (multiplicity 4)
P  0.4689  0.1913  0.5617 (multiplicity 4)
O  0.0297  0.3241  0.3185 (multiplicity 4)
O  0.0318  0.4128  0.0611 (multiplicity 4)
O  0.0348  0.1775  0.8172 (multiplicity 4)
O  0.0696  0.0491  0.2956 (multiplicity 4)
O  0.1056  0.0154  0.5609 (multiplicity 4)
O  0.1359  0.3889  0.7930 (multiplicity 4)
O  0.1369  0.3705  0.5497 (multiplicity 4)
O  0.1750  0.2328  0.2435 (multiplicity 4)
O  0.1860  0.1791  0.0493 (multiplicity 4)
O  0.2070  0.4598  0.9940 (multiplicity 4)
O  0.2126  0.0343  0.4931 (multiplicity 4)
O  0.2158  0.2220  0.7470 (multiplicity 4)
O  0.2407  0.2523  0.3920 (multiplicity 4)
O  0.2452  0.2561  0.8932 (multiplicity 4)
O  0.2480  0.4922  0.1420 (multiplicity 4)
O  0.2486  0.0077  0.6417 (multiplicity 4)
O  0.2797  0.4312  0.8152 (multiplicity 4)
O  0.2806  0.3367  0.5599 (multiplicity 4)
O  0.2832  0.0737  0.3187 (multiplicity 4)
O  0.3200  0.2985  0.2971 (multiplicity 4)
O  0.3552  0.2388  0.0602 (multiplicity 4)
O  0.3850  0.1394  0.7934 (multiplicity 4)
O  0.3876  0.1219  0.5483 (multiplicity 4)
O  0.4253  0.4795  0.2425 (multiplicity 4)
O  0.4379  0.4296  0.0487 (multiplicity 4)
O  0.4606  0.2909  0.4952 (multiplicity 4)
O  0.4622  0.2162  0.9917 (multiplicity 4)
O  0.4644  0.0305  0.2488 (multiplicity 4)
O  0.4881  0.0009  0.8947 (multiplicity 4)
O  0.4915  0.4973  0.3905 (multiplicity 4)
O  0.4977  0.2573  0.6434 (multiplicity 4)
O  0.4990  0.2405  0.1401 (multiplicity 4)

A plane-wave DFT calculation with GGA+U was carried out for a relaxed structure of MnPO4.

**DFT total energy**: -7.36 eV per atom
**Energy of formation**: -2.37 eV/atom

a = 8.4589 Å, b = 7.1546 Å, c = 16.8514 Å
α = 90.00°, β = 119.29°, γ = 90.00°
Space group P2_1/c (No. 14)
Unique sites:
Mn  0.0008  0.0159  0.2510 (multiplicity 4)
Mn  0.3280  0.0534  0.0775 (multiplicity 4)
Mn  0.3352  0.0464  0.5865 (multiplicity 4)
P  0.0357  0.7417  0.9290 (multiplicity 4)
P  0.3244  0.7334  0.7283 (multiplicity 4)
P  0.3651  0.2484  0.4126 (multiplicity 4)
O  0.0277  0.2163  0.6723 (multiplicity 4)
O  0.1282  0.5710  0.4634 (multiplicity 4)
O  0.1386  0.2363  0.5576 (multiplicity 4)
O  0.1622  0.5734  0.9785 (multiplicity 4)
O  0.1637  0.2435  0.3439 (multiplicity 4)
O  0.1820  0.7374  0.7592 (multiplicity 4)
O  0.2898  0.5603  0.6679 (multiplicity 4)
O  0.2980  0.5834  0.1734 (multiplicity 4)
O  0.3901  0.2479  0.5130 (multiplicity 4)
O  0.4514  0.0689  0.3992 (multiplicity 4)
O  0.4527  0.0741  0.9013 (multiplicity 4)
O  0.4802  0.2309  0.6874 (multiplicity 4)

A plane-wave DFT calculation with GGA+U was carried out for a relaxed structure of MnP4O12.

**DFT total energy**: -7.11 eV per atom
**Energy of formation**: -2.39 eV/atom

a = 5.0868 Å, b = 13.5478 Å, c = 7.1825 Å
α = 90.00°, β = 99.08°, γ = 90.00°
Space group P2_1 (No. 4)
Unique sites:
Mn  0.0084  0.0000  0.0086 (multiplicity 2)
P  0.2738  0.5883  0.3859 (multiplicity 2)
P  0.3543  0.9346  0.4075 (multiplicity 2)
P  0.4811  0.3612  0.9432 (multiplicity 2)
P  0.4967  0.1384  0.9530 (multiplicity 2)
O  0.1116  0.5121  0.2558 (multiplicity 2)
O  0.1121  0.9753  0.2730 (multiplicity 2)
O  0.1375  0.6707  0.4615 (multiplicity 2)
O  0.2073  0.3766  0.9972 (multiplicity 2)
O  0.2235  0.1221  0.0091 (multiplicity 2)
O  0.2812  0.5786  0.9322 (multiplicity 2)
O  0.3030  0.8797  0.5731 (multiplicity 2)
O  0.3054  0.9278  0.9516 (multiplicity 2)
O  0.4275  0.7512  0.0019 (multiplicity 2)
O  0.4492  0.5278  0.5514 (multiplicity 2)
O  0.4744  0.3675  0.7231 (multiplicity 2)
O  0.4893  0.1256  0.7349 (multiplicity 2)

- DFT total energy of number 2 (MnPO4)?
  -7.36 eV per atom